First-principles (GGA-PBE) data for crystalline MnP at its relaxed geometry, as listed in the Materials Project database.

Structure (POSCAR):
```
MnP
1.0
3.154 0.000 0.000
0.000 5.191 0.000
0.000 0.000 5.850
P Mn
4 4
direct
0.750 0.813 0.569
0.250 0.687 0.069
0.250 0.187 0.431
0.750 0.313 0.931
0.250 0.504 0.696
0.250 0.004 0.804
0.750 0.996 0.196
0.750 0.496 0.304
```

## Properties
- Calculated volume: 12.0 Å³/atom
- ΔE_f: -0.616 eV per atom